# Ba3Li2B10H6O22 GGA-PBE optimized geometry
# Calculated formation energy = -2.638 eV/atom
# Space group = C2/c (15)
# Energy with MP2020 corrections = -7.418 eV/atom
data_Ba3Li2B10H6O22
_chemical_formula_sum 'Ba6 Li4 B20 H12 O44'
_symmetry_space_group_name_H-M 'P 1'
_symmetry_Int_Tables_number 1
_cell_length_a 6.851
_cell_length_b 6.851
_cell_length_c 21.121
_cell_angle_alpha 78.20
_cell_angle_beta 78.20
_cell_angle_gamma 65.57
loop_
_symmetry_equiv_pos_as_xyz
'x,y,z'
loop_
_atom_site_label
_atom_site_type_symbol
_atom_site_fract_x
_atom_site_fract_y
_atom_site_fract_z
B1 B 0.292 0.088 0.184
B2 B 0.414 0.386 0.632
B3 B 0.386 0.414 0.132
B4 B 0.614 0.586 0.868
B5 B 0.267 0.598 0.450
B6 B 0.912 0.708 0.316
B7 B 0.402 0.733 0.050
B8 B 0.598 0.821 0.253
B9 B 0.541 0.246 0.410
B10 B 0.246 0.541 0.910
B11 B 0.733 0.402 0.550
B12 B 0.088 0.292 0.684
B13 B 0.821 0.598 0.753
B14 B 0.754 0.459 0.090
B15 B 0.586 0.614 0.368
B16 B 0.708 0.912 0.816
B17 B 0.179 0.402 0.247
B18 B 0.598 0.267 0.950
B19 B 0.402 0.179 0.747
B20 B 0.459 0.754 0.590
O1 O 0.079 0.708 0.485
O2 O 0.500 0.135 0.363
O3 O 0.402 0.705 0.418
O4 O 0.292 0.921 0.015
O5 O 0.495 0.296 0.699
O6 O 0.598 0.295 0.582
O7 O 0.377 0.665 0.874
O8 O 0.205 0.175 0.743
O9 O 0.247 0.309 0.627
O10 O 0.705 0.402 0.918
O11 O 0.753 0.691 0.373
O12 O 0.665 0.377 0.374
O13 O 0.704 0.505 0.801
O14 O 0.512 0.937 0.197
O15 O 0.937 0.512 0.697
O16 O 0.327 0.928 0.542
O17 O 0.063 0.488 0.303
O18 O 0.160 0.978 0.172
O19 O 0.135 0.500 0.863
O20 O 0.673 0.072 0.458
O21 O 0.309 0.247 0.127
O22 O 0.175 0.205 0.243
O23 O 0.978 0.160 0.672
O24 O 0.795 0.825 0.257
O25 O 0.691 0.753 0.873
O26 O 0.072 0.673 0.958
O27 O 0.825 0.795 0.757
O28 O 0.488 0.063 0.803
O29 O 0.840 0.022 0.828
O30 O 0.505 0.704 0.301
O31 O 0.022 0.840 0.328
O32 O 0.377 0.333 0.946
O33 O 0.921 0.292 0.515
O34 O 0.928 0.327 0.042
O35 O 0.500 0.865 0.637
O36 O 0.296 0.495 0.199
O37 O 0.333 0.377 0.446
O38 O 0.667 0.623 0.554
O39 O 0.295 0.598 0.082
O40 O 0.623 0.667 0.054
O41 O 0.623 0.335 0.126
O42 O 0.865 0.500 0.137
O43 O 0.335 0.623 0.626
O44 O 0.708 0.079 0.985
H1 H 0.869 0.377 0.001
H2 H 0.178 0.778 0.313
H3 H 0.587 0.976 0.371
H4 H 0.976 0.587 0.871
H5 H 0.413 0.024 0.629
H6 H 0.623 0.131 0.499
H7 H 0.024 0.413 0.129
H8 H 0.131 0.623 0.999
H9 H 0.778 0.178 0.813
H10 H 0.822 0.222 0.687
H11 H 0.377 0.869 0.501
H12 H 0.222 0.822 0.187
Li1 Li 0.185 0.273 0.539
Li2 Li 0.273 0.185 0.039
Li3 Li 0.727 0.815 0.961
Li4 Li 0.815 0.727 0.461
Ba1 Ba 0.137 0.076 0.904
Ba2 Ba 0.076 0.137 0.404
Ba3 Ba 0.863 0.924 0.096
Ba4 Ba 0.924 0.863 0.596
Ba5 Ba 0.748 0.252 0.250
Ba6 Ba 0.252 0.748 0.750

---

# SiPb4Cl4O4 GGA-PBE optimized geometry
# Calculated formation energy = -1.793 eV/atom
# Space group = P2_1/c (14)
# Energy with MP2020 corrections = -5.444 eV/atom
data_SiPb4Cl4O4
_chemical_formula_sum 'Si4 Pb16 Cl16 O16'
_symmetry_space_group_name_H-M 'P 1'
_symmetry_Int_Tables_number 1
_cell_length_a 15.899
_cell_length_b 8.439
_cell_length_c 8.911
_cell_angle_alpha 87.90
_cell_angle_beta 90.00
_cell_angle_gamma 90.00
loop_
_symmetry_equiv_pos_as_xyz
'x,y,z'
loop_
_atom_site_label
_atom_site_type_symbol
_atom_site_fract_x
_atom_site_fract_y
_atom_site_fract_z
Cl1 Cl 0.876 0.331 0.839
Cl2 Cl 0.346 0.380 0.727
Cl3 Cl 0.109 0.383 0.872
Cl4 Cl 0.391 0.883 0.872
Cl5 Cl 0.654 0.620 0.273
Cl6 Cl 0.846 0.120 0.273
Cl7 Cl 0.000 0.500 0.500
Cl8 Cl 0.154 0.880 0.727
Cl9 Cl 0.500 0.000 0.500
Cl10 Cl 0.500 0.500 0.000
Cl11 Cl 0.609 0.117 0.128
Cl12 Cl 0.124 0.669 0.161
Cl13 Cl 0.000 0.000 0.000
Cl14 Cl 0.891 0.617 0.128
Cl15 Cl 0.624 0.831 0.839
Cl16 Cl 0.376 0.169 0.161
Pb1 Pb 0.992 0.704 0.844
Pb2 Pb 0.244 0.930 0.108
Pb3 Pb 0.798 0.504 0.430
Pb4 Pb 0.508 0.204 0.844
Pb5 Pb 0.744 0.570 0.892
Pb6 Pb 0.970 0.846 0.345
Pb7 Pb 0.702 0.004 0.430
Pb8 Pb 0.202 0.496 0.570
Pb9 Pb 0.492 0.796 0.156
Pb10 Pb 0.530 0.346 0.345
Pb11 Pb 0.008 0.296 0.156
Pb12 Pb 0.756 0.070 0.892
Pb13 Pb 0.030 0.154 0.655
Pb14 Pb 0.256 0.430 0.108
Pb15 Pb 0.298 0.996 0.570
Pb16 Pb 0.470 0.654 0.655
O1 O 0.656 0.237 0.787
O2 O 0.844 0.737 0.787
O3 O 0.171 0.231 0.526
O4 O 0.711 0.507 0.647
O5 O 0.829 0.769 0.474
O6 O 0.953 0.896 0.625
O7 O 0.547 0.396 0.625
O8 O 0.453 0.604 0.375
O9 O 0.344 0.763 0.213
O10 O 0.211 0.993 0.353
O11 O 0.789 0.007 0.647
O12 O 0.047 0.104 0.375
O13 O 0.329 0.731 0.526
O14 O 0.156 0.263 0.213
O15 O 0.671 0.269 0.474
O16 O 0.289 0.493 0.353
Si1 Si 0.648 0.352 0.634
Si2 Si 0.852 0.852 0.634
Si3 Si 0.352 0.648 0.366
Si4 Si 0.148 0.148 0.366

---

# Li6La3Nb2O12 GGA-PBE optimized geometry
# Calculated formation energy = -2.978 eV/atom
# Space group = I2_13 (199)
# Energy with MP2020 corrections = -7.580 eV/atom
data_Li6La3Nb2O12
_chemical_formula_sum 'Li24 La12 Nb8 O48'
_symmetry_space_group_name_H-M 'P 1'
_symmetry_Int_Tables_number 1
_cell_length_a 11.168
_cell_length_b 11.168
_cell_length_c 11.168
_cell_angle_alpha 109.47
_cell_angle_beta 109.47
_cell_angle_gamma 109.47
loop_
_symmetry_equiv_pos_as_xyz
'x,y,z'
loop_
_atom_site_label
_atom_site_type_symbol
_atom_site_fract_x
_atom_site_fract_y
_atom_site_fract_z
O1 O 0.090 0.705 0.677
O2 O 0.705 0.677 0.090
O3 O 0.178 0.473 0.591
O4 O 0.677 0.090 0.705
O5 O 0.596 0.917 0.115
O6 O 0.618 0.699 0.519
O7 O 0.382 0.587 0.909
O8 O 0.519 0.618 0.699
O9 O 0.981 0.679 0.099
O10 O 0.081 0.882 0.401
O11 O 0.205 0.118 0.027
O12 O 0.385 0.302 0.481
O13 O 0.821 0.801 0.419
O14 O 0.321 0.904 0.019
O15 O 0.583 0.179 0.198
O16 O 0.679 0.099 0.981
O17 O 0.115 0.596 0.917
O18 O 0.481 0.385 0.302
O19 O 0.302 0.481 0.385
O20 O 0.885 0.972 0.795
O21 O 0.473 0.591 0.178
O22 O 0.412 0.823 0.528
O23 O 0.699 0.519 0.618
O24 O 0.027 0.205 0.118
O25 O 0.972 0.795 0.885
O26 O 0.099 0.981 0.679
O27 O 0.913 0.295 0.322
O28 O 0.587 0.909 0.382
O29 O 0.419 0.821 0.801
O30 O 0.088 0.615 0.410
O31 O 0.904 0.019 0.321
O32 O 0.295 0.322 0.913
O33 O 0.401 0.081 0.882
O34 O 0.795 0.885 0.972
O35 O 0.801 0.419 0.821
O36 O 0.528 0.412 0.823
O37 O 0.322 0.913 0.295
O38 O 0.118 0.027 0.205
O39 O 0.198 0.583 0.179
O40 O 0.615 0.410 0.088
O41 O 0.909 0.382 0.587
O42 O 0.823 0.528 0.412
O43 O 0.019 0.321 0.904
O44 O 0.917 0.115 0.596
O45 O 0.882 0.401 0.081
O46 O 0.179 0.198 0.583
O47 O 0.410 0.088 0.615
O48 O 0.591 0.178 0.473
Li1 Li 0.747 0.926 0.537
Li2 Li 0.702 0.813 0.248
Li3 Li 0.064 0.454 0.252
Li4 Li 0.454 0.252 0.064
Li5 Li 0.963 0.889 0.210
Li6 Li 0.798 0.046 0.110
Li7 Li 0.537 0.747 0.926
Li8 Li 0.813 0.248 0.702
Li9 Li 0.390 0.436 0.687
Li10 Li 0.290 0.179 0.753
Li11 Li 0.753 0.290 0.179
Li12 Li 0.574 0.321 0.611
Li13 Li 0.889 0.210 0.963
Li14 Li 0.611 0.574 0.321
Li15 Li 0.252 0.064 0.454
Li16 Li 0.210 0.963 0.889
Li17 Li 0.687 0.390 0.436
Li18 Li 0.179 0.753 0.290
Li19 Li 0.046 0.110 0.798
Li20 Li 0.248 0.702 0.813
Li21 Li 0.110 0.798 0.046
Li22 Li 0.436 0.687 0.390
Li23 Li 0.926 0.537 0.747
Li24 Li 0.321 0.611 0.574
La1 La 0.128 0.378 0.750
La2 La 0.750 0.632 0.882
La3 La 0.750 0.128 0.378
La4 La 0.250 0.868 0.618
La5 La 0.378 0.750 0.128
La6 La 0.250 0.372 0.122
La7 La 0.882 0.750 0.632
La8 La 0.618 0.250 0.868
La9 La 0.372 0.122 0.250
La10 La 0.122 0.250 0.372
La11 La 0.632 0.882 0.750
La12 La 0.868 0.618 0.250
Nb1 Nb 0.500 0.000 0.000
Nb2 Nb 0.500 0.500 0.500
Nb3 Nb 0.000 0.500 0.500
Nb4 Nb 0.000 0.000 0.500
Nb5 Nb 0.500 0.500 0.000
Nb6 Nb 0.500 0.000 0.500
Nb7 Nb 0.000 0.000 0.000
Nb8 Nb 0.000 0.500 0.000

---

# Re3Ge7 GGA-PBE optimized geometry
# Calculated formation energy = -0.011 eV/atom
# Space group = Cmcm (63)
data_Re3Ge7
_chemical_formula_sum 'Re6 Ge14'
_symmetry_space_group_name_H-M 'P 1'
_symmetry_Int_Tables_number 1
_cell_length_a 4.852
_cell_length_b 4.852
_cell_length_c 22.158
_cell_angle_alpha 90.00
_cell_angle_beta 90.00
_cell_angle_gamma 140.64
loop_
_symmetry_equiv_pos_as_xyz
'x,y,z'
loop_
_atom_site_label
_atom_site_type_symbol
_atom_site_fract_x
_atom_site_fract_y
_atom_site_fract_z
Ge1 Ge 0.764 0.236 0.250
Ge2 Ge 0.354 0.646 0.532
Ge3 Ge 0.941 0.059 0.838
Ge4 Ge 0.059 0.941 0.162
Ge5 Ge 0.354 0.646 0.968
Ge6 Ge 0.676 0.324 0.636
Ge7 Ge 0.676 0.324 0.864
Ge8 Ge 0.324 0.676 0.364
Ge9 Ge 0.941 0.059 0.662
Ge10 Ge 0.646 0.354 0.032
Ge11 Ge 0.059 0.941 0.338
Ge12 Ge 0.324 0.676 0.136
Ge13 Ge 0.236 0.764 0.750
Ge14 Ge 0.646 0.354 0.468
Re1 Re 0.073 0.927 0.941
Re2 Re 0.481 0.519 0.250
Re3 Re 0.927 0.073 0.059
Re4 Re 0.073 0.927 0.559
Re5 Re 0.519 0.481 0.750
Re6 Re 0.927 0.073 0.441

---

# Na5Ca2Ta2SiP5O24 GGA-PBE optimized geometry
# Calculated formation energy = -2.914 eV/atom
# Space group = P1 (1)
# Energy with MP2020 corrections = -7.673 eV/atom
data_Na5Ca2Ta2SiP5O24
_chemical_formula_sum 'Na15 Ca6 Ta6 Si3 P15 O72'
_symmetry_space_group_name_H-M 'P 1'
_symmetry_Int_Tables_number 1
_cell_length_a 9.159
_cell_length_b 9.161
_cell_length_c 22.649
_cell_angle_alpha 89.97
_cell_angle_beta 90.04
_cell_angle_gamma 119.93
loop_
_symmetry_equiv_pos_as_xyz
'x,y,z'
loop_
_atom_site_label
_atom_site_type_symbol
_atom_site_fract_x
_atom_site_fract_y
_atom_site_fract_z
O1 O 0.002 0.196 0.912
O2 O 0.003 0.179 0.193
O3 O 0.464 0.299 0.028
O4 O 0.468 0.335 0.420
O5 O 0.565 0.677 0.980
O6 O 0.004 0.175 0.305
O7 O 0.475 0.353 0.138
O8 O 0.506 0.645 0.870
O9 O 0.221 0.264 0.689
O10 O 0.966 0.754 0.807
O11 O 0.055 0.798 0.698
O12 O 0.143 0.514 0.577
O13 O 0.002 0.196 0.592
O14 O 0.189 0.994 0.907
O15 O 0.124 0.665 0.355
O16 O 0.719 0.559 0.255
O17 O 0.454 0.151 0.256
O18 O 0.510 0.144 0.923
O19 O 0.653 0.115 0.144
O20 O 0.142 0.650 0.081
O21 O 0.244 0.183 0.796
O22 O 0.541 0.879 0.355
O23 O 0.864 0.310 0.527
O24 O 0.544 0.862 0.079
O25 O 0.650 0.165 0.740
O26 O 0.834 0.280 0.255
O27 O 0.136 0.501 0.870
O28 O 0.168 0.695 0.468
O29 O 0.177 0.002 0.307
O30 O 0.157 0.654 0.765
O31 O 0.337 0.490 0.767
O32 O 0.359 0.870 0.862
O33 O 0.823 0.521 0.029
O34 O 0.177 0.003 0.195
O35 O 0.807 0.044 0.802
O36 O 0.281 0.834 0.245
O37 O 0.870 0.366 0.636
O38 O 0.042 0.851 0.413
O39 O 0.489 0.834 0.764
O40 O 0.733 0.955 0.685
O41 O 0.832 0.832 0.305
O42 O 0.961 0.816 0.088
O43 O 0.303 0.464 0.473
O44 O 0.559 0.724 0.245
O45 O 0.805 0.806 0.591
O46 O 0.856 0.052 0.087
O47 O 0.698 0.556 0.527
O48 O 0.495 0.135 0.639
O49 O 0.809 0.959 0.413
O50 O 0.340 0.471 0.075
O51 O 0.151 0.455 0.244
O52 O 0.869 0.534 0.421
O53 O 0.114 0.444 0.980
O54 O 0.310 0.867 0.972
O55 O 0.693 0.166 0.033
O56 O 0.503 0.349 0.737
O57 O 0.174 0.990 0.592
O58 O 0.845 0.506 0.738
O59 O 0.631 0.481 0.922
O60 O 0.876 0.529 0.147
O61 O 0.666 0.132 0.421
O62 O 0.192 0.158 0.087
O63 O 0.827 0.830 0.193
O64 O 0.529 0.831 0.467
O65 O 0.853 0.369 0.923
O66 O 0.368 0.847 0.573
O67 O 0.635 0.506 0.635
O68 O 0.487 0.628 0.575
O69 O 0.333 0.465 0.361
O70 O 0.446 0.152 0.527
O71 O 0.811 0.795 0.910
O72 O 0.150 0.190 0.414
Na1 Na 0.615 0.002 0.252
Na2 Na 0.650 0.336 0.342
Na3 Na 0.342 0.658 0.671
Na4 Na 0.341 0.999 0.752
Na5 Na 0.302 0.310 0.585
Na6 Na 0.673 0.326 0.832
Na7 Na 0.680 0.982 0.590
Na8 Na 0.014 0.017 0.987
Na9 Na 0.010 0.000 0.506
Na10 Na 0.017 0.702 0.588
Na11 Na 0.323 0.668 0.162
Na12 Na 0.998 0.610 0.248
Na13 Na 0.652 0.680 0.077
Na14 Na 0.040 0.356 0.079
Na15 Na 0.989 0.684 0.910
Ta1 Ta 0.003 0.004 0.359
Ta2 Ta 0.339 0.666 0.819
Ta3 Ta 0.664 0.331 0.982
Ta4 Ta 0.666 0.329 0.683
Ta5 Ta 0.007 0.000 0.143
Ta6 Ta 0.335 0.671 0.514
Ca1 Ca 0.658 0.333 0.192
Ca2 Ca 0.337 0.676 0.017
Ca3 Ca 0.995 0.008 0.844
Ca4 Ca 0.992 0.000 0.662
Ca5 Ca 0.665 0.331 0.478
Ca6 Ca 0.335 0.658 0.309
P1 P 0.278 0.999 0.252
P2 P 0.323 0.368 0.415
P3 P 0.633 0.955 0.412
P4 P 0.030 0.371 0.922
P5 P 0.371 0.324 0.083
P6 P 0.318 0.316 0.747
P7 P 0.677 0.045 0.087
P8 P 0.046 0.678 0.412
P9 P 0.001 0.681 0.752
P10 P 0.725 0.727 0.250
P11 P 0.000 0.278 0.250
P12 P 0.340 0.970 0.917
P13 P 0.661 0.626 0.581
P14 P 0.968 0.341 0.581
P15 P 0.631 0.657 0.921
Si1 Si 0.365 0.031 0.581
Si2 Si 0.959 0.629 0.088
Si3 Si 0.685 0.999 0.748

---

# Sr6Ir2RuO12 GGA-PBE optimized geometry
# Calculated formation energy = -2.385 eV/atom
# Space group = C2/m (12)
# Energy with MP2020 corrections = -6.979 eV/atom
data_Sr6Ir2RuO12
_chemical_formula_sum 'Sr6 Ir2 Ru1 O12'
_symmetry_space_group_name_H-M 'P 1'
_symmetry_Int_Tables_number 1
_cell_length_a 8.808
_cell_length_b 8.808
_cell_length_c 6.978
_cell_angle_alpha 67.75
_cell_angle_beta 67.75
_cell_angle_gamma 36.88
loop_
_symmetry_equiv_pos_as_xyz
'x,y,z'
loop_
_atom_site_label
_atom_site_type_symbol
_atom_site_fract_x
_atom_site_fract_y
_atom_site_fract_z
Ru1 Ru 0.000 0.000 0.000
O1 O 0.166 0.669 0.000
O2 O 0.054 0.054 0.675
O3 O 0.946 0.946 0.325
O4 O 0.834 0.331 0.000
O5 O 0.612 0.612 0.326
O6 O 0.000 0.500 0.000
O7 O 0.669 0.166 0.000
O8 O 0.388 0.388 0.674
O9 O 0.279 0.279 0.326
O10 O 0.500 0.000 0.000
O11 O 0.721 0.721 0.674
O12 O 0.331 0.834 0.000
Sr1 Sr 0.784 0.784 0.294
Sr2 Sr 0.549 0.549 0.705
Sr3 Sr 0.216 0.216 0.706
Sr4 Sr 0.882 0.882 0.707
Sr5 Sr 0.118 0.118 0.293
Sr6 Sr 0.451 0.451 0.295
Ir1 Ir 0.334 0.334 0.000
Ir2 Ir 0.666 0.666 0.000

---

Question: Which value of calculated formation energy does entry 3 give?
Answer: -2.978 eV/atom